(1)
# NaAlAs2O7

A relaxed NaAlAs2O7 crystal (PBE, Materials Project).

Results
Magnetization in μB per formula unit: 0.00
Theoretical density in g/cm³: 3.8
V in Å³/cell: 538
ΔH_f (0 K) in eV/atom: -2.198
Symmetry: No. 14

Cell lengths 8.2836, 7.0335, 9.7002 Å; angles 72.27, 90.00, 90.00 degrees
Sites, in units of the cell vectors:
Na1 0.1387 0.8063 0.5288
Na2 0.3613 0.8063 0.0288
Na3 0.8613 0.1937 0.4712
Na4 0.6387 0.1937 0.9712
Al1 0.2754 0.2795 0.5060
Al2 0.7246 0.7205 0.4940
Al3 0.7754 0.7205 0.9940
Al4 0.2246 0.2795 0.0060
As1 0.0368 0.0575 0.7983
As2 0.4632 0.0575 0.2983
As3 0.9632 0.9425 0.2017
As4 0.4124 0.5140 0.7080
As5 0.9124 0.4860 0.7920
As6 0.5368 0.9425 0.7017
As7 0.5876 0.4860 0.2920
As8 0.0876 0.5140 0.2080
O1 0.9018 0.5322 0.1346
O2 0.8936 0.9013 0.3745
O3 0.3744 0.7677 0.7128
O4 0.5918 0.6263 0.1151
O5 0.7565 0.5210 0.8975
O6 0.2565 0.4790 0.6025
O7 0.8744 0.2323 0.7872
O8 0.3157 0.0728 0.4171
O9 0.0918 0.3737 0.3849
O10 0.3936 0.0987 0.1255
O11 0.2435 0.4790 0.1025
O12 0.6256 0.2323 0.2872
O13 0.6843 0.9272 0.5829
O14 0.8157 0.9272 0.0829
O15 0.5585 0.8336 0.3534
O16 0.1843 0.0728 0.9171
O17 0.6064 0.9013 0.8745
O18 0.1256 0.7677 0.2128
O19 0.4415 0.1664 0.6466
O20 0.9082 0.6263 0.6151
O21 0.0982 0.4678 0.8654
O22 0.9415 0.8336 0.8534
O23 0.0585 0.1664 0.1466
O24 0.1064 0.0987 0.6255
O25 0.5982 0.5322 0.6346
O26 0.4082 0.3737 0.8849
O27 0.7435 0.5210 0.3975
O28 0.4018 0.4678 0.3654

=====

(2)
# Ho7Cu3Te12

A relaxed Ho7Cu3Te12 crystal (PBE, Materials Project).

Results
Theoretical density in g/cm³: 7.0
V in Å³/cell: 683
ΔH_f (0 K) in eV/atom: -1.339
Symmetry: No. 1

Cell lengths 7.4724, 7.4771, 14.2702 Å; angles 95.00, 95.16, 119.56 degrees
Sites, in units of the cell vectors:
Ho1 0.5805 0.5826 0.7469
Ho2 0.3331 0.6662 0.9993
Ho3 0.0856 0.7523 0.2519
Ho4 0.2487 0.9132 0.7470
Ho5 0.7497 0.0816 0.2519
Ho6 0.9180 0.2516 0.7470
Ho7 0.4162 0.4174 0.2520
Cu1 0.8573 0.5232 0.5692
Cu2 0.4766 0.1433 0.4318
Cu3 0.8106 0.8111 0.4318
Te1 0.1270 0.1296 0.3814
Te2 0.7968 0.4598 0.3801
Te3 0.9577 0.6252 0.8756
Te4 0.7089 0.7079 0.1247
Te5 0.4590 0.7924 0.3817
Te6 0.8729 0.8760 0.6199
Te7 0.6259 0.9592 0.8759
Te8 0.3751 0.0426 0.1247
Te9 0.5373 0.2041 0.6199
Te10 0.2921 0.2914 0.8759
Te11 0.0407 0.3742 0.1244
Te12 0.2078 0.5393 0.6193

=====

(3)
# Na10Y4Hf4Si7S5O48

A relaxed Na10Y4Hf4Si7S5O48 crystal (PBE, Materials Project).

Results
Magnetization in μB per formula unit: 0.00
Theoretical density in g/cm³: 3.5
V in Å³/cell: 3426
ΔH_f (0 K) in eV/atom: -2.919
Symmetry: No. 1

Cell lengths 18.4984, 9.2371, 23.0975 Å; angles 90.01, 89.14, 119.76 degrees
Sites, in units of the cell vectors:
Na1 0.1841 0.3733 0.2384
Na2 0.6843 0.3745 0.2385
Na3 0.9908 0.6299 0.2569
Na4 0.4920 0.6301 0.2567
Na5 0.4911 0.3473 0.7628
Na6 0.1846 0.9972 0.7427
Na7 0.6831 0.9966 0.7424
Na8 0.6628 0.3447 0.5778
Na9 0.0168 0.7064 0.5767
Na10 0.8250 0.9594 0.5938
Na11 0.4961 0.6771 0.9105
Na12 0.9978 0.6773 0.9093
Na13 0.8493 0.0371 0.9049
Na14 0.1558 0.2956 0.9258
Na15 0.4952 0.3167 0.4092
Na16 0.9922 0.3112 0.4097
Na17 0.3476 0.6598 0.4039
Na18 0.8498 0.6644 0.4091
Na19 0.0277 0.0101 0.4976
Na20 0.5239 0.9887 0.4956
Na21 0.0165 0.0254 0.0012
Na22 0.5247 0.0574 0.9957
Na23 0.3438 0.3219 0.8340
Na24 0.8509 0.3386 0.8262
Na25 0.3398 0.3366 0.3293
Na26 0.8382 0.3348 0.3317
Na27 0.1786 0.6528 0.1633
Na28 0.6781 0.6534 0.1638
Na29 0.1779 0.6920 0.6702
Na30 0.6767 0.6901 0.6672
Y1 0.0014 0.9983 0.3512
Y2 0.5019 0.0001 0.3502
Y3 0.9981 0.9995 0.8476
Y4 0.4961 0.0016 0.8540
Y5 0.3329 0.3306 0.6853
Y6 0.8360 0.3379 0.6868
Y7 0.3339 0.3377 0.1826
Y8 0.8337 0.3376 0.1828
Y9 0.1613 0.6550 0.0194
Y10 0.6599 0.6505 0.0204
Y11 0.1655 0.6729 0.5184
Y12 0.6600 0.6697 0.5189
Hf1 0.9968 0.9839 0.6502
Hf2 0.4964 0.9785 0.6496
Hf3 0.9983 0.0146 0.1482
Hf4 0.4981 0.0130 0.1479
Hf5 0.3280 0.3177 0.9803
Hf6 0.8247 0.3232 0.9804
Hf7 0.3255 0.3273 0.4802
Hf8 0.8277 0.3442 0.4808
Hf9 0.1644 0.6499 0.3143
Hf10 0.6633 0.6508 0.3148
Hf11 0.1624 0.6788 0.8136
Hf12 0.6645 0.6784 0.8146
Si1 0.3507 0.7094 0.2510
Si2 0.8510 0.7100 0.2512
Si3 0.0000 0.2992 0.2540
Si4 0.5002 0.2994 0.2537
Si5 0.0013 0.6991 0.7534
Si6 0.5004 0.6995 0.7548
Si7 0.3511 0.9917 0.7487
Si8 0.8471 0.9911 0.7517
Si9 0.1820 0.0369 0.5883
Si10 0.6836 0.0432 0.5876
Si11 0.8345 0.6346 0.5826
Si12 0.1815 0.3267 0.0866
Si13 0.6811 0.3260 0.0888
Si14 0.0176 0.3728 0.9173
Si15 0.5151 0.3717 0.9161
Si16 0.1676 0.9654 0.9169
Si17 0.6683 0.9643 0.9188
Si18 0.1675 0.3705 0.4180
Si19 0.6670 0.3682 0.4202
Si20 0.0158 0.6604 0.4186
Si21 0.5135 0.6598 0.4155
S1 0.1448 0.9901 0.2469
S2 0.6452 0.9897 0.2467
S3 0.1450 0.3034 0.7488
S4 0.6421 0.2945 0.7468
S5 0.4779 0.3168 0.5815
S6 0.9787 0.3227 0.5797
S7 0.3389 0.6344 0.5808
S8 0.4787 0.6408 0.0826
S9 0.9786 0.6405 0.0820
S10 0.3378 0.0422 0.0830
S11 0.8381 0.0427 0.0815
S12 0.3094 0.6546 0.9168
S13 0.8107 0.6564 0.9170
S14 0.3112 0.9666 0.4154
S15 0.8102 0.9652 0.4162
O1 0.1094 0.0218 0.3001
O2 0.6099 0.0218 0.3000
O3 0.4029 0.7776 0.3102
O4 0.9044 0.7780 0.3099
O5 0.4908 0.2056 0.3145
O6 0.9916 0.2047 0.3144
O7 0.1102 0.2085 0.8040
O8 0.6026 0.1893 0.7987
O9 0.4919 0.7798 0.8141
O10 0.9973 0.7832 0.8138
O11 0.4142 0.0419 0.8014
O12 0.8957 0.0100 0.8112
O13 0.4016 0.9778 0.6903
O14 0.9018 0.9873 0.6936
O15 0.0910 0.2086 0.6995
O16 0.5905 0.2086 0.6940
O17 0.0129 0.8267 0.6979
O18 0.5128 0.8268 0.6988
O19 0.4071 0.8294 0.1961
O20 0.9069 0.8308 0.1959
O21 0.0148 0.1984 0.1993
O22 0.5139 0.1961 0.1995
O23 0.0913 0.9726 0.1964
O24 0.5915 0.9723 0.1964
O25 0.4377 0.3360 0.6348
O26 0.9374 0.3463 0.6312
O27 0.2298 0.1182 0.6474
O28 0.7327 0.1167 0.6471
O29 0.3293 0.5337 0.6329
O30 0.8188 0.5072 0.6340
O31 0.4400 0.5428 0.1367
O32 0.9395 0.5434 0.1360
O33 0.3286 0.1195 0.1354
O34 0.8299 0.1248 0.1332
O35 0.2277 0.3330 0.1465
O36 0.7260 0.3320 0.1492
O37 0.2367 0.3141 0.0298
O38 0.7397 0.3155 0.0342
O39 0.4287 0.5471 0.0313
O40 0.9293 0.5485 0.0304
O41 0.3475 0.1497 0.0308
O42 0.8479 0.1465 0.0281
O43 0.2396 0.1587 0.5323
O44 0.7385 0.1740 0.5327
O45 0.3471 0.5466 0.5274
O46 0.8503 0.5500 0.5224
O47 0.4297 0.3124 0.5291
O48 0.9292 0.3074 0.5265
O49 0.2731 0.6784 0.9705
O50 0.7733 0.6795 0.9701
O51 0.0801 0.4455 0.9711
O52 0.5711 0.4629 0.9708
O53 0.1525 0.8420 0.9701
O54 0.6638 0.8527 0.9727
O55 0.2737 0.8702 0.4688
O56 0.7739 0.8703 0.4706
O57 0.1610 0.4723 0.4717
O58 0.6598 0.4545 0.4790
O59 0.0653 0.6817 0.4780
O60 0.5697 0.6844 0.4701
O61 0.0695 0.6462 0.3616
O62 0.5620 0.6421 0.3560
O63 0.2597 0.8838 0.3641
O64 0.7572 0.8760 0.3657
O65 0.1838 0.4899 0.3589
O66 0.6787 0.4938 0.3638
O67 0.0677 0.4989 0.8612
O68 0.5632 0.4881 0.8566
O69 0.1785 0.8784 0.8566
O70 0.6841 0.8759 0.8595
O71 0.2578 0.6354 0.8658
O72 0.7596 0.6352 0.8653
O73 0.9941 0.8105 0.4147
O74 0.4900 0.8078 0.4136
O75 0.3959 0.9874 0.4100
O76 0.8946 0.9814 0.4102
O77 0.0845 0.1894 0.4146
O78 0.5839 0.1871 0.4145
O79 0.9972 0.1800 0.9117
O80 0.4967 0.1821 0.9144
O81 0.0887 0.9999 0.9139
O82 0.5851 0.9796 0.9145
O83 0.3964 0.7910 0.9112
O84 0.8963 0.8035 0.9112
O85 0.4846 0.1621 0.5842
O86 0.9826 0.1653 0.5853
O87 0.0888 0.0243 0.5887
O88 0.5923 0.0403 0.5891
O89 0.4191 0.7995 0.5843
O90 0.9213 0.8180 0.5903
O91 0.4823 0.8061 0.0864
O92 0.9832 0.8071 0.0853
O93 0.4166 0.0316 0.0861
O94 0.9176 0.0329 0.0855
O95 0.0886 0.1524 0.0886
O96 0.5885 0.1523 0.0891
O97 0.3330 0.1495 0.7446
O98 0.8257 0.1425 0.7489
O99 0.2293 0.3202 0.7425
O100 0.7264 0.3167 0.7420
O101 0.4259 0.5081 0.7463
O102 0.9227 0.5151 0.7480
O103 0.3337 0.5163 0.2459
O104 0.8348 0.5178 0.2454
O105 0.4249 0.3406 0.2459
O106 0.9246 0.3398 0.2461
O107 0.2307 0.1329 0.2407
O108 0.7313 0.1325 0.2407
O109 0.3124 0.4913 0.9220
O110 0.8219 0.5040 0.9226
O111 0.4261 0.3800 0.9235
O112 0.9279 0.3739 0.9266
O113 0.2524 0.1535 0.9236
O114 0.7565 0.1497 0.9235
O115 0.3216 0.1400 0.4207
O116 0.8215 0.1374 0.4199
O117 0.2551 0.3608 0.4234
O118 0.7558 0.3624 0.4198
O119 0.4236 0.4764 0.4224
O120 0.9264 0.4766 0.4206
O121 0.1722 0.4925 0.0839
O122 0.6721 0.4915 0.0852
O123 0.0644 0.6642 0.0793
O124 0.5646 0.6663 0.0801
O125 0.2651 0.8726 0.0769
O126 0.7662 0.8727 0.0773
O127 0.1642 0.8443 0.5845
O128 0.6765 0.8618 0.5807
O129 0.2678 0.6622 0.5764
O130 0.7555 0.6660 0.5790
O131 0.0634 0.4713 0.5765
O132 0.5645 0.4629 0.5797
O133 0.1460 0.8293 0.2526
O134 0.6467 0.8295 0.2523
O135 0.2580 0.6973 0.2552
O136 0.7579 0.6958 0.2564
O137 0.0892 0.4852 0.2552
O138 0.5899 0.4841 0.2549
O139 0.1529 0.4713 0.7522
O140 0.6445 0.4586 0.7514
O141 0.0921 0.6996 0.7520
O142 0.5904 0.6953 0.7544
O143 0.2598 0.8197 0.7562
O144 0.7560 0.8121 0.7538

=====

(4)
# Tb3Co11B4

A relaxed Tb3Co11B4 crystal (PBE, Materials Project).

Results
Magnetization in μB per formula unit: 6.45
Theoretical density in g/cm³: 9.0
V in Å³/cell: 214
ΔH_f (0 K) in eV/atom: -0.360
Symmetry: No. 191

Cell lengths 5.0357, 5.0368, 9.7640 Å; angles 90.00, 90.00, 119.99 degrees
Sites, in units of the cell vectors:
Tb1 0.0000 0.0000 0.0000
Tb2 0.0000 0.0000 0.3416
Tb3 0.0000 0.0000 0.6583
Co1 0.3332 0.6665 0.0000
Co2 0.6667 0.3335 0.0000
Co3 0.5000 0.0000 0.5000
Co4 0.5000 0.5000 0.5000
Co5 0.0000 0.5000 0.5000
Co6 0.5000 0.0000 0.2014
Co7 0.5000 0.5000 0.2015
Co8 0.0000 0.5000 0.2015
Co9 0.5000 0.0000 0.7985
Co10 0.5000 0.5000 0.7985
Co11 0.0000 0.5000 0.7985
B1 0.3332 0.6665 0.3491
B2 0.6667 0.3335 0.3491
B3 0.6666 0.3332 0.6509
B4 0.3334 0.6668 0.6509

=====

(5)
# K2TeCl6

A relaxed K2TeCl6 crystal (PBE, Materials Project).

Results
Theoretical density in g/cm³: 2.5
V in Å³/cell: 277
ΔH_f (0 K) in eV/atom: -1.646
Symmetry: No. 225

Cell lengths 7.3202, 7.3202, 7.3202 Å; angles 60.00, 60.00, 60.00 degrees
Sites, in units of the cell vectors:
K1 0.2500 0.2500 0.2500
K2 0.7500 0.7500 0.7500
Te1 0.0000 0.0000 0.0000
Cl1 0.2475 0.7525 0.7525
Cl2 0.2475 0.7525 0.2475
Cl3 0.2475 0.2475 0.7525
Cl4 0.7525 0.2475 0.2475
Cl5 0.7525 0.2475 0.7525
Cl6 0.7525 0.7525 0.2475

=====

(6)
# Zn9Fe4

A relaxed Zn9Fe4 crystal (PBE, Materials Project).

Results
Magnetization in μB per formula unit: 9.48
Energy above the lowest structure with this stoichiometry in eV/atom: 0.084
Theoretical density in g/cm³: 7.5
V in Å³/cell: 361
ΔH_f (0 K) in eV/atom: 0.041
Symmetry: No. 8

Cell lengths 7.7636, 7.7636, 7.7686 Å; angles 70.92, 70.92, 110.10 degrees
Sites, in units of the cell vectors:
Zn1 0.9915 0.2714 0.3469
Zn2 0.7256 0.7256 0.6204
Zn3 0.2714 0.9915 0.3469
Zn4 0.9878 0.6507 0.7296
Zn5 0.2716 0.6442 0.0164
Zn6 0.7299 0.3832 0.2744
Zn7 0.3832 0.7299 0.2744
Zn8 0.6442 0.2716 0.0164
Zn9 0.6507 0.9878 0.7296
Zn10 0.6243 0.3514 0.6577
Zn11 0.3479 0.3479 0.3643
Zn12 0.3514 0.6243 0.6577
Zn13 0.0016 0.0016 0.6616
Zn14 0.0008 0.3393 0.9981
Zn15 0.3393 0.0008 0.9981
Zn16 0.6600 0.6600 0.3397
Zn17 0.3633 0.0017 0.6356
Zn18 0.0017 0.3633 0.6356
Fe1 0.3515 0.3515 0.9942
Fe2 0.6571 0.0016 0.3417
Fe3 0.0016 0.6571 0.3417
Fe4 0.6512 0.6512 0.9975
Fe5 0.0022 0.0022 0.2154
Fe6 0.9983 0.7909 0.0030
Fe7 0.7909 0.9983 0.0030
Fe8 0.2009 0.2009 0.7998

=====

(7)
# NdCrS3

A relaxed NdCrS3 crystal (PBE, Materials Project).

Results
Theoretical density in g/cm³: 5.0
V in Å³/cell: 386
ΔH_f (0 K) in eV/atom: -1.686
Symmetry: No. 62

Cell lengths 3.7901, 7.8037, 13.0409 Å; angles 90.00, 90.00, 90.00 degrees
Sites, in units of the cell vectors:
Nd1 0.2500 0.0890 0.8279
Nd2 0.7500 0.9110 0.1721
Nd3 0.2500 0.5890 0.6721
Nd4 0.7500 0.4110 0.3279
Cr1 0.2500 0.3372 0.0513
Cr2 0.7500 0.6628 0.9487
Cr3 0.2500 0.8372 0.4487
Cr4 0.7500 0.1628 0.5513
S1 0.2500 0.4898 0.8939
S2 0.7500 0.5102 0.1061
S3 0.2500 0.9898 0.6061
S4 0.7500 0.0102 0.3939
S5 0.2500 0.3407 0.4941
S6 0.7500 0.6593 0.5059
S7 0.2500 0.8407 0.0059
S8 0.7500 0.1593 0.9941
S9 0.7500 0.3064 0.7126
S10 0.2500 0.6936 0.2874
S11 0.7500 0.8064 0.7874
S12 0.2500 0.1936 0.2126

=====

(8)
# Rb2UBr6

A relaxed Rb2UBr6 crystal (PBE, Materials Project).

Results
Energy above the lowest structure with this stoichiometry in eV/atom: 0.004
Theoretical density in g/cm³: 4.2
V in Å³/cell: 352
ΔH_f (0 K) in eV/atom: -1.934
Symmetry: No. 225

Cell lengths 7.9272, 7.9272, 7.9272 Å; angles 60.00, 60.00, 60.00 degrees
Sites, in units of the cell vectors:
Rb1 0.7500 0.7500 0.7500
Rb2 0.2500 0.2500 0.2500
U1 0.0000 0.0000 0.0000
Br1 0.2481 0.7519 0.2481
Br2 0.7519 0.2481 0.7519
Br3 0.7519 0.2481 0.2481
Br4 0.2481 0.7519 0.7519
Br5 0.7519 0.7519 0.2481
Br6 0.2481 0.2481 0.7519

=====

(9)
# Cs2RbTmCl6

A relaxed Cs2RbTmCl6 crystal (PBE, Materials Project).

Results
Magnetization in μB per formula unit: 0.00
Theoretical density in g/cm³: 3.2
V in Å³/cell: 379
ΔH_f (0 K) in eV/atom: -2.509
Symmetry: No. 225

Cell lengths 8.1228, 8.1228, 8.1228 Å; angles 60.00, 60.00, 60.00 degrees
Sites, in units of the cell vectors:
Cs1 0.7500 0.7500 0.7500
Cs2 0.2500 0.2500 0.2500
Rb1 0.5000 0.5000 0.5000
Tm1 0.0000 0.0000 0.0000
Cl1 0.7733 0.2267 0.2267
Cl2 0.2267 0.2267 0.7733
Cl3 0.2267 0.7733 0.7733
Cl4 0.2267 0.7733 0.2267
Cl5 0.7733 0.2267 0.7733
Cl6 0.7733 0.7733 0.2267